(1)
## CuH10SO9 (GGA-PBE)

Data for an optimized crystal structure of CuH10SO9.

abc: 6.431 6.454 10.965
angles: 81.52 87.48 70.87
Fractional coordinates of all 42 atoms:
Cu  0.000  0.000  0.000
Cu  0.000  0.500  0.500
H  0.012  0.205  0.681
H  0.119  0.286  0.107
H  0.149  0.651  0.887
H  0.184  0.107  0.410
H  0.240  0.764  0.516
H  0.247  0.193  0.706
H  0.252  0.605  0.643
H  0.300  0.074  0.386
H  0.406  0.175  0.881
H  0.447  0.932  0.861
H  0.553  0.068  0.139
H  0.594  0.825  0.119
H  0.700  0.926  0.614
H  0.748  0.395  0.357
H  0.753  0.807  0.294
H  0.760  0.236  0.484
H  0.816  0.893  0.590
H  0.851  0.349  0.113
H  0.881  0.714  0.893
H  0.988  0.795  0.319
S  0.403  0.481  0.220
S  0.597  0.519  0.780
O  0.010  0.747  0.919
O  0.138  0.232  0.636
O  0.162  0.678  0.568
O  0.241  0.738  0.189
O  0.285  0.839  0.067
O  0.337  0.080  0.848
O  0.345  0.438  0.348
O  0.352  0.349  0.135
O  0.370  0.513  0.797
O  0.630  0.487  0.203
O  0.648  0.651  0.865
O  0.655  0.562  0.652
O  0.663  0.920  0.152
O  0.715  0.161  0.933
O  0.759  0.262  0.811
O  0.838  0.322  0.432
O  0.862  0.768  0.364
O  0.990  0.253  0.081

Values from the calculation:
Space group: No. 2
E (MP2020): -109.82 eV/f.u.
Calculated total energy: -4.935 eV/atom
Formation energy from the elements: -23.126 eV per formula unit

***

(2)
## CuH10SO9 (GGA-PBE)

Data for an optimized crystal structure of CuH10SO9.

abc: 6.706 6.845 11.551
angles: 76.57 81.69 72.28
Fractional coordinates of all 42 atoms:
Cu  0.000  0.000  0.000
Cu  0.000  0.500  0.500
H  0.047  0.174  0.422
H  0.096  0.629  0.061
H  0.112  0.827  0.243
H  0.156  0.243  0.653
H  0.202  0.021  0.178
H  0.410  0.862  0.989
H  0.417  0.917  0.925
H  0.431  0.686  0.838
H  0.431  0.945  0.370
H  0.435  0.759  0.608
H  0.565  0.241  0.392
H  0.569  0.055  0.630
H  0.569  0.314  0.162
H  0.583  0.083  0.075
H  0.590  0.138  0.011
H  0.798  0.979  0.822
H  0.844  0.757  0.347
H  0.888  0.173  0.757
H  0.904  0.371  0.939
H  0.953  0.826  0.578
S  0.380  0.373  0.230
S  0.620  0.627  0.770
O  0.011  0.291  0.631
O  0.049  0.729  0.988
O  0.167  0.899  0.163
O  0.217  0.514  0.767
O  0.237  0.281  0.187
O  0.275  0.367  0.851
O  0.406  0.674  0.446
O  0.469  0.196  0.353
O  0.480  0.800  0.353
O  0.520  0.200  0.647
O  0.531  0.804  0.647
O  0.594  0.326  0.554
O  0.725  0.633  0.149
O  0.763  0.719  0.813
O  0.783  0.486  0.233
O  0.833  0.101  0.837
O  0.951  0.271  0.012
O  0.989  0.709  0.369

Values from the calculation:
Space group: No. 2
E (MP2020): -98.40 eV/f.u.
Calculated total energy: -4.391 eV/atom
Formation energy from the elements: -11.704 eV per formula unit

***

(3)
## Tb2CuH4S2O12 (GGA-PBE)

Data for an optimized crystal structure of Tb2CuH4S2O12.

abc: 6.362 6.786 10.833
angles: 90.00 97.91 90.00
Fractional coordinates of all 42 atoms:
Tb  0.079  0.007  0.319
Tb  0.079  0.493  0.819
Tb  0.921  0.507  0.181
Tb  0.921  0.993  0.681
Cu  0.000  0.000  0.000
Cu  0.000  0.500  0.500
H  0.237  0.717  0.618
H  0.237  0.783  0.118
H  0.271  0.623  0.382
H  0.271  0.877  0.882
H  0.729  0.123  0.118
H  0.729  0.377  0.618
H  0.763  0.217  0.882
H  0.763  0.283  0.382
S  0.360  0.170  0.629
S  0.360  0.330  0.129
S  0.640  0.670  0.871
S  0.640  0.830  0.371
O  0.095  0.684  0.636
O  0.095  0.816  0.136
O  0.119  0.660  0.371
O  0.119  0.840  0.871
O  0.198  0.052  0.542
O  0.198  0.448  0.042
O  0.250  0.192  0.744
O  0.250  0.308  0.244
O  0.404  0.142  0.074
O  0.404  0.358  0.574
O  0.448  0.548  0.839
O  0.448  0.952  0.339
O  0.552  0.048  0.661
O  0.552  0.452  0.161
O  0.596  0.642  0.426
O  0.596  0.858  0.926
O  0.750  0.692  0.756
O  0.750  0.808  0.256
O  0.802  0.552  0.958
O  0.802  0.948  0.458
O  0.881  0.160  0.129
O  0.881  0.340  0.629
O  0.905  0.184  0.864
O  0.905  0.316  0.364

Values from the calculation:
Space group: No. 14
E (MP2020): -140.79 eV/f.u.
Calculated total energy: -6.312 eV/atom
Formation energy from the elements: -46.203 eV per formula unit

***

(4)
## Zn3Cu2H14S2O18 (GGA-PBE)

Data for an optimized crystal structure of Zn3Cu2H14S2O18.

abc: 5.453 6.443 10.630
angles: 94.52 90.23 90.35
Fractional coordinates of all 39 atoms:
Zn  0.000  0.000  0.000
Zn  0.492  0.750  0.500
Zn  0.508  0.250  0.500
Cu  0.000  0.000  0.500
Cu  0.000  0.500  0.500
H  0.118  0.777  0.676
H  0.198  0.327  0.143
H  0.221  0.655  0.930
H  0.305  0.994  0.320
H  0.311  0.492  0.323
H  0.355  0.731  0.063
H  0.421  0.190  0.090
H  0.579  0.810  0.910
H  0.645  0.269  0.937
H  0.689  0.508  0.677
H  0.695  0.006  0.680
H  0.779  0.345  0.070
H  0.802  0.673  0.857
H  0.882  0.223  0.324
S  0.227  0.300  0.781
S  0.773  0.700  0.219
O  0.069  0.478  0.828
O  0.139  0.763  0.585
O  0.140  0.102  0.829
O  0.211  0.274  0.639
O  0.251  0.183  0.124
O  0.289  0.780  0.981
O  0.317  0.483  0.414
O  0.319  0.998  0.412
O  0.487  0.346  0.818
O  0.513  0.654  0.182
O  0.681  0.002  0.588
O  0.683  0.517  0.586
O  0.711  0.220  0.019
O  0.749  0.817  0.876
O  0.789  0.726  0.361
O  0.860  0.898  0.171
O  0.861  0.237  0.415
O  0.931  0.522  0.172

Values from the calculation:
Space group: No. 2
E (MP2020): -213.00 eV/f.u.
Calculated total energy: -5.144 eV/atom
Formation energy from the elements: -56.189 eV per formula unit

***

(5)
## ZnCu2H4S2O8 (GGA-PBE)

Data for an optimized crystal structure of ZnCu2H4S2O8.

abc: 5.913 7.915 9.766
angles: 90.00 124.41 90.00
Fractional coordinates of all 34 atoms:
Zn  0.000  0.000  0.000
Zn  0.000  0.500  0.500
Cu  0.193  0.131  0.450
Cu  0.193  0.369  0.950
Cu  0.807  0.631  0.050
Cu  0.807  0.869  0.550
H  0.477  0.014  0.738
H  0.477  0.486  0.238
H  0.477  0.615  0.604
H  0.477  0.885  0.104
H  0.523  0.115  0.896
H  0.523  0.385  0.396
H  0.523  0.514  0.762
H  0.523  0.986  0.262
S  0.129  0.627  0.871
S  0.129  0.873  0.371
S  0.871  0.127  0.629
S  0.871  0.373  0.129
O  0.038  0.139  0.821
O  0.038  0.361  0.321
O  0.040  0.235  0.585
O  0.040  0.265  0.085
O  0.395  0.721  0.941
O  0.395  0.779  0.441
O  0.416  0.519  0.641
O  0.416  0.981  0.141
O  0.584  0.019  0.859
O  0.584  0.481  0.359
O  0.605  0.221  0.559
O  0.605  0.279  0.059
O  0.960  0.735  0.915
O  0.960  0.765  0.415
O  0.962  0.639  0.679
O  0.962  0.861  0.179

Values from the calculation:
Space group: No. 14
E (MP2020): -92.97 eV/f.u.
Calculated total energy: -5.145 eV/atom
Formation energy from the elements: -22.081 eV per formula unit

***

(6)
## CuH10SeO9 (GGA-PBE)

Data for an optimized crystal structure of CuH10SeO9.

abc: 6.129 6.197 11.019
angles: 77.12 82.00 72.33
Fractional coordinates of all 42 atoms:
Cu  0.000  0.000  0.000
Cu  0.000  0.500  0.500
H  0.068  0.189  0.698
H  0.122  0.294  0.093
H  0.156  0.642  0.884
H  0.235  0.599  0.644
H  0.237  0.771  0.510
H  0.315  0.904  0.308
H  0.319  0.174  0.623
H  0.325  0.186  0.876
H  0.339  0.090  0.380
H  0.424  0.902  0.895
H  0.576  0.098  0.105
H  0.661  0.910  0.620
H  0.675  0.814  0.124
H  0.681  0.826  0.377
H  0.685  0.096  0.692
H  0.763  0.229  0.490
H  0.765  0.401  0.356
H  0.844  0.358  0.116
H  0.878  0.706  0.907
H  0.932  0.811  0.302
Se  0.382  0.503  0.216
Se  0.618  0.497  0.784
O  0.018  0.737  0.927
O  0.145  0.682  0.571
O  0.150  0.207  0.614
O  0.198  0.768  0.188
O  0.286  0.037  0.901
O  0.330  0.377  0.363
O  0.349  0.467  0.801
O  0.368  0.339  0.116
O  0.378  0.920  0.382
O  0.622  0.080  0.618
O  0.632  0.661  0.884
O  0.651  0.533  0.199
O  0.670  0.623  0.637
O  0.714  0.963  0.099
O  0.802  0.232  0.812
O  0.850  0.793  0.386
O  0.855  0.318  0.429
O  0.982  0.263  0.073

Values from the calculation:
Space group: No. 2
E (MP2020): -111.17 eV/f.u.
Calculated total energy: -4.999 eV/atom
Formation energy from the elements: -25.113 eV per formula unit